A relaxed structure of BaLaPrMn3O9, computed with GGA+U.

Unit cell a=5.6354 b=5.6354 c=13.5652 alpha=90.00 beta=90.00 gamma=120.00
Sites, in units of the cell vectors:
1 Ba 0.0000 0.0000 0.0000
2 Ba 0.0000 0.0000 0.5000
3 La 0.3333 0.6667 0.1681
4 La 0.6667 0.3333 0.8319
5 Pr 0.3333 0.6667 0.6678
6 Pr 0.6667 0.3333 0.3322
7 Mn 0.0000 0.0000 0.2503
8 Mn 0.0000 0.0000 0.7497
9 Mn 0.3333 0.6667 0.4168
10 Mn 0.3333 0.6667 0.9166
11 Mn 0.6667 0.3333 0.0834
12 Mn 0.6667 0.3333 0.5832
13 O 0.0000 0.4774 0.0000
14 O 0.0000 0.5237 0.5000
15 O 0.1082 0.3423 0.3269
16 O 0.1126 0.7696 0.8259
17 O 0.2304 0.3430 0.8259
18 O 0.2341 0.8918 0.3269
19 O 0.3423 0.1082 0.6731
20 O 0.3430 0.2304 0.1741
21 O 0.4763 0.4763 0.5000
22 O 0.4774 0.0000 0.0000
23 O 0.5226 0.5226 0.0000
24 O 0.5237 0.0000 0.5000
25 O 0.6570 0.8874 0.8259
26 O 0.6577 0.7659 0.3269
27 O 0.7659 0.6577 0.6731
28 O 0.7696 0.1126 0.1741
29 O 0.8874 0.6570 0.1741
30 O 0.8918 0.2341 0.6731

=====

A relaxed structure of BaLaMnRuO6, computed with GGA+U.

Output
The value obtained for the relative energy among the computed polymorphs is 24 meV per atom.

Unit cell a=5.7820 b=5.7773 c=9.9093 alpha=90.00 beta=125.06 gamma=90.00
Sites, in units of the cell vectors:
1 Ba 0.0000 0.2485 0.0000
2 Ba 0.0000 0.7515 0.5000
3 La 0.5179 0.2608 0.5000
4 La 0.5179 0.7392 0.0000
5 Mn 0.2521 0.2474 0.7479
6 Mn 0.2521 0.7526 0.2479
7 Ru 0.7490 0.2496 0.2499
8 Ru 0.7490 0.7504 0.7499
9 O 0.0869 0.2490 0.4899
10 O 0.0869 0.7510 0.9899
11 O 0.4634 0.2596 0.0105
12 O 0.4634 0.7404 0.5105
13 O 0.5339 0.0262 0.2945
14 O 0.5339 0.9738 0.7945
15 O 0.5382 0.4806 0.2926
16 O 0.5382 0.5194 0.7926
17 O 0.9262 0.0139 0.7100
18 O 0.9262 0.9861 0.2100
19 O 0.9381 0.4920 0.7136
20 O 0.9381 0.5080 0.2136

=====

A relaxed structure of BaLaMnRuO6, computed with GGA+U.

Output
The value obtained for the relative energy among the computed polymorphs is 67 meV per atom.

Unit cell a=5.7437 b=5.7437 c=5.7437 alpha=60.00 beta=60.00 gamma=60.00
Sites, in units of the cell vectors:
1 Ba 0.0000 0.0000 0.0000
2 La 0.5000 0.5000 0.5000
3 Mn 0.7500 0.7500 0.7500
4 Ru 0.2500 0.2500 0.2500
5 O 0.0064 0.0064 0.4936
6 O 0.0064 0.4936 0.0064
7 O 0.0064 0.4936 0.4936
8 O 0.4936 0.0064 0.0064
9 O 0.4936 0.0064 0.4936
10 O 0.4936 0.4936 0.0064

=====

A relaxed structure of BaLaMnRuO6, computed with GGA+U.

Output
The value obtained for the relative energy among the computed polymorphs is 0 meV per atom.

Unit cell a=5.7318 b=5.7318 c=5.7884 alpha=119.81 beta=119.81 gamma=60.50
Sites, in units of the cell vectors:
1 Ba 0.0000 0.0000 0.0000
2 La 0.4998 0.4998 0.4817
3 Mn 0.2517 0.2517 0.7482
4 Ru 0.7501 0.7501 0.2504
5 O 0.0487 0.5287 0.0690
6 O 0.4797 0.9328 0.4628
7 O 0.5103 0.5103 0.9135
8 O 0.5287 0.0487 0.0690
9 O 0.9328 0.4797 0.4628
10 O 0.9889 0.9889 0.5377

=====

A relaxed structure of BaLaSmMn3O9, computed with GGA+U.

Unit cell a=5.6217 b=5.6217 c=13.5323 alpha=90.00 beta=90.00 gamma=120.00
Sites, in units of the cell vectors:
1 Ba 0.0000 0.0000 0.0000
2 Ba 0.0000 0.0000 0.5000
3 La 0.3333 0.6667 0.3314
4 La 0.6667 0.3333 0.6686
5 Sm 0.3333 0.6667 0.8302
6 Sm 0.6667 0.3333 0.1698
7 Mn 0.0000 0.0000 0.2482
8 Mn 0.0000 0.0000 0.7518
9 Mn 0.3333 0.6667 0.0822
10 Mn 0.3333 0.6667 0.5835
11 Mn 0.6667 0.3333 0.4165
12 Mn 0.6667 0.3333 0.9178
13 O 0.0000 0.4735 0.0000
14 O 0.0000 0.5219 0.5000
15 O 0.0971 0.7551 0.1724
16 O 0.1107 0.3432 0.6753
17 O 0.2325 0.8893 0.6753
18 O 0.2449 0.3420 0.1724
19 O 0.3420 0.2449 0.8276
20 O 0.3432 0.1107 0.3247
21 O 0.4735 0.0000 0.0000
22 O 0.4781 0.4781 0.5000
23 O 0.5219 0.0000 0.5000
24 O 0.5265 0.5265 0.0000
25 O 0.6568 0.7675 0.6753
26 O 0.6580 0.9029 0.1724
27 O 0.7551 0.0971 0.8276
28 O 0.7675 0.6568 0.3247
29 O 0.8893 0.2325 0.3247
30 O 0.9029 0.6580 0.8276

=====

A relaxed structure of BaLaMnSnO6, computed with GGA+U.

Unit cell a=5.8068 b=5.8068 c=5.7144 alpha=118.26 beta=118.26 gamma=58.77
Sites, in units of the cell vectors:
1 Ba 0.0000 0.0000 0.0000
2 La 0.4945 0.4945 0.4713
3 Mn 0.7519 0.7519 0.2534
4 Sn 0.2479 0.2479 0.7433
5 O 0.0089 0.0089 0.5511
6 O 0.0486 0.5309 0.0619
7 O 0.4778 0.9330 0.4589
8 O 0.4834 0.4834 0.8806
9 O 0.5309 0.0486 0.0619
10 O 0.9330 0.4778 0.4589

=====

A relaxed structure of Ba4La8Mn11SnO36, computed with GGA+U.

Unit cell a=5.6273 b=9.7720 c=14.9041 alpha=108.98 beta=100.58 gamma=90.27
Sites, in units of the cell vectors:
1 Ba 0.0000 0.0000 0.0000
2 Ba 0.1643 0.5060 0.3322
3 Ba 0.6634 0.9993 0.3330
4 Ba 0.8349 0.5029 0.6716
5 La 0.0830 0.7528 0.1676
6 La 0.2491 0.2432 0.5050
7 La 0.3334 0.0021 0.6697
8 La 0.4160 0.7527 0.8363
9 La 0.5003 0.5057 0.0033
10 La 0.5785 0.2492 0.1610
11 La 0.7505 0.7614 0.5028
12 La 0.9165 0.2530 0.8364
13 Mn 0.0403 0.3783 0.0836
14 Mn 0.1226 0.1239 0.2490
15 Mn 0.2077 0.8768 0.4182
16 Mn 0.2908 0.6321 0.5867
17 Mn 0.3751 0.3773 0.7533
18 Mn 0.4571 0.1282 0.9159
19 Mn 0.5402 0.8766 0.0839
20 Mn 0.6242 0.6285 0.2493
21 Mn 0.7928 0.1269 0.5882
22 Mn 0.8742 0.8783 0.7521
23 Mn 0.9582 0.6261 0.9191
24 Sn 0.7078 0.3783 0.4182
25 O 0.0083 0.5288 0.0188
26 O 0.0302 0.0022 0.5187
27 O 0.0350 0.4748 0.5045
28 O 0.0552 0.7600 0.6500
29 O 0.0745 0.2604 0.6698
30 O 0.0778 0.2425 0.1566
31 O 0.1742 0.0287 0.3560
32 O 0.1951 0.4987 0.8520
33 O 0.1972 0.9792 0.8291
34 O 0.2208 0.2612 0.9821
35 O 0.2400 0.7575 0.0007
36 O 0.2454 0.7469 0.4959
37 O 0.3436 0.0007 0.1748
38 O 0.3449 0.5327 0.6911
39 O 0.3616 0.4767 0.1600
40 O 0.3818 0.7546 0.3163
41 O 0.3945 0.2619 0.3335
42 O 0.4078 0.2294 0.8196
43 O 0.5081 0.0296 0.0156
44 O 0.5182 0.5106 0.5145
45 O 0.5224 0.9781 0.5085
46 O 0.5426 0.2438 0.6531
47 O 0.5568 0.7776 0.6685
48 O 0.5750 0.7282 0.1531
49 O 0.6728 0.5351 0.3518
50 O 0.6785 0.0072 0.8402
51 O 0.6901 0.4732 0.8417
52 O 0.7087 0.7410 0.9836
53 O 0.7245 0.2772 0.9986
54 O 0.7470 0.2359 0.4963
55 O 0.8406 0.0282 0.6838
56 O 0.8423 0.5031 0.1706
57 O 0.8616 0.9745 0.1679
58 O 0.8758 0.2493 0.3114
59 O 0.9061 0.7647 0.3343
60 O 0.9134 0.7406 0.8291

=====

A relaxed structure of BaLaTaMnO6, computed with GGA+U.

Output
As for the largest piezoelectric modulus: 0.1 C/m².

Unit cell a=5.8359 b=5.8359 c=5.8359 alpha=60.00 beta=60.00 gamma=60.00
Sites, in units of the cell vectors:
1 Ba 0.0000 0.0000 0.0000
2 La 0.5000 0.5000 0.5000
3 Ta 0.2500 0.2500 0.2500
4 Mn 0.7500 0.7500 0.7500
5 O 0.0088 0.0088 0.4912
6 O 0.0088 0.4912 0.0088
7 O 0.0088 0.4912 0.4912
8 O 0.4912 0.0088 0.0088
9 O 0.4912 0.0088 0.4912
10 O 0.4912 0.4912 0.0088

=====

| no. | formation energy (eV per atom) |
| --- | --- |
| 1 | -2.795 |
| 2 | -2.544 |
| 3 | -2.500 |
| 4 | -2.567 |
| 5 | -2.797 |
| 6 | -2.746 |
| 7 | -2.812 |
| 8 | -3.187 |